{
  "formula": "LiMn2P2O8",
  "functional": "PBE+U",
  "state": "relaxed",
  "lattice_angstrom": [[4.899, 0.000, 0.000], [-0.050, 8.053, 0.000], [-0.239, -2.095, 8.487]],
  "species": ["Li", "P", "Mn", "O", "P", "O", "O", "O", "O", "O", "O", "O", "O", "O", "O", "Mn", "Mn", "Li", "Mn", "P", "O", "O", "O", "O", "P", "O"],
  "fractional_positions": [[0.510, 0.371, 0.063], [0.973, 0.243, 0.925], [0.084, 0.526, 0.276], [0.816, 0.086, 0.967], [0.951, 0.780, 0.622], [0.468, 0.343, 0.543], [0.378, 0.338, 0.260], [0.845, 0.280, 0.775], [0.354, 0.707, 0.221], [0.806, 0.199, 0.337], [0.258, 0.835, 0.655], [0.473, 0.569, 0.945], [0.921, 0.395, 0.065], [0.339, 0.884, 0.012], [0.905, 0.700, 0.444], [0.503, 0.972, 0.828], [0.021, 0.014, 0.180], [0.495, 0.863, 0.433], [0.620, 0.468, 0.738], [0.494, 0.741, 0.075], [0.344, 0.062, 0.351], [0.791, 0.795, 0.116], [0.278, 0.200, 0.906], [0.870, 0.658, 0.724], [0.504, 0.233, 0.372], [0.760, 0.938, 0.654]],
  "spacegroup": "P1"
}

---

{
  "formula": "Li6Mn9P8O32",
  "functional": "PBE+U",
  "state": "relaxed",
  "lattice_angstrom": [[9.286, 0.000, 0.000], [-3.275, 8.303, 0.000], [-1.779, -2.609, 8.536]],
  "species": ["O", "O", "O", "P", "Mn", "O", "O", "Mn", "O", "O", "Li", "O", "Li", "O", "P", "P", "P", "O", "Li", "O", "Mn", "Mn", "P", "O", "Li", "P", "P", "Mn", "O", "O", "O", "O", "Li", "Mn", "O", "O", "Mn", "O", "O", "O", "P", "O", "O", "O", "O", "Mn", "O", "O", "Mn", "O", "Li", "O", "O", "O", "O"],
  "fractional_positions": [[0.028, 0.690, 0.001], [0.884, 0.749, 0.772], [0.708, 0.525, 0.164], [0.661, 0.888, 0.045], [0.533, 0.282, 0.681], [0.588, 0.836, 0.562], [0.715, 0.071, 0.447], [0.043, 0.303, 0.797], [0.342, 0.870, 0.283], [0.292, 0.475, 0.836], [0.731, 0.232, 0.960], [0.834, 0.895, 0.105], [0.269, 0.768, 0.040], [0.658, 0.130, 0.717], [0.287, 0.976, 0.400], [0.099, 0.396, 0.165], [0.713, 0.024, 0.600], [0.267, 0.510, 0.153], [0.024, 0.121, 0.361], [0.600, 0.818, 0.865], [0.423, 0.867, 0.717], [0.500, 0.500, 0.000], [0.281, 0.462, 0.659], [0.670, 0.067, 0.098], [0.976, 0.879, 0.639], [0.719, 0.538, 0.341], [0.901, 0.604, 0.835], [0.957, 0.697, 0.203], [0.733, 0.490, 0.847], [0.456, 0.238, 0.887], [0.115, 0.953, 0.315], [0.544, 0.762, 0.113], [0.640, 0.686, 0.686], [0.000, 0.500, 0.500], [0.400, 0.182, 0.135], [0.258, 0.614, 0.615], [0.467, 0.718, 0.319], [0.038, 0.502, 0.272], [0.436, 0.457, 0.629], [0.119, 0.306, 0.565], [0.339, 0.112, 0.955], [0.564, 0.543, 0.371], [0.742, 0.386, 0.385], [0.962, 0.498, 0.728], [0.116, 0.251, 0.228], [0.000, 0.000, 0.000], [0.972, 0.310, 0.999], [0.412, 0.164, 0.438], [0.577, 0.133, 0.283], [0.166, 0.105, 0.895], [0.360, 0.314, 0.314], [0.885, 0.047, 0.685], [0.881, 0.694, 0.435], [0.285, 0.929, 0.553], [0.330, 0.933, 0.902]],
  "spacegroup": "P-1"
}

---

{
  "formula": "LiMnP2O7",
  "functional": "PBE+U",
  "state": "relaxed",
  "lattice_angstrom": [[0.003, -0.001, 4.592], [5.209, 0.003, -1.010], [2.339, 10.148, 2.023]],
  "species": ["Mn", "Mn", "O", "P", "O", "P", "O", "O", "O", "O", "O", "O", "P", "O", "P", "O", "O", "O", "Li", "Li", "O", "O"],
  "fractional_positions": [[0.000, 0.128, 0.064], [0.000, 0.128, 0.564], [0.806, 0.362, 0.413], [0.409, 0.663, 0.631], [0.500, 0.522, 0.761], [0.591, 0.263, 0.831], [0.194, 0.827, 0.181], [0.733, 0.124, 0.229], [0.806, 0.362, 0.913], [0.284, 0.075, 0.911], [0.267, 0.458, 0.562], [0.500, 0.522, 0.261], [0.409, 0.663, 0.131], [0.717, 0.822, 0.037], [0.591, 0.263, 0.331], [0.267, 0.458, 0.062], [0.284, 0.075, 0.411], [0.733, 0.124, 0.729], [0.000, 0.750, 0.375], [0.000, 0.750, 0.875], [0.194, 0.827, 0.681], [0.717, 0.822, 0.537]],
  "e_ij_max_c_m2": 0.8
}

---

{
  "formula": "Li3Mn3P4O16",
  "functional": "PBE+U",
  "state": "relaxed",
  "lattice_angstrom": [[-4.101, -6.295, -3.196], [3.527, -4.796, 4.921], [-7.128, 1.116, 6.946]],
  "species": ["O", "Li", "O", "O", "Mn", "O", "O", "O", "Mn", "O", "Mn", "O", "Mn", "Li", "O", "O", "O", "O", "O", "O", "O", "O", "Li", "Li", "O", "Mn", "P", "O", "O", "O", "Mn", "O", "Li", "O", "O", "O", "O", "Li", "O", "P", "O", "P", "P", "P", "O", "O", "O", "O", "O", "P", "P", "P"],
  "fractional_positions": [[0.142, 0.018, 0.103], [0.869, 0.334, 0.825], [0.176, 0.639, 0.529], [0.355, 0.509, 0.351], [0.493, 0.245, 0.378], [0.628, 0.287, 0.716], [0.922, 0.104, 0.363], [0.433, 0.905, 0.149], [0.861, 0.341, 0.312], [0.817, 0.847, 0.723], [0.511, 0.221, 0.877], [0.317, 0.153, 0.277], [0.993, 0.755, 0.622], [0.142, 0.153, 0.423], [0.863, 0.800, 0.465], [0.632, 0.994, 0.397], [0.190, 0.656, 0.029], [0.880, 0.797, 0.967], [0.128, 0.713, 0.284], [0.855, 0.491, 0.649], [0.363, 0.200, 0.535], [0.068, 0.410, 0.901], [0.642, 0.847, 0.577], [0.369, 0.666, 0.175], [0.132, 0.006, 0.603], [0.361, 0.659, 0.688], [0.182, 0.566, 0.384], [0.676, 0.361, 0.471], [0.649, 0.297, 0.223], [0.319, 0.133, 0.782], [0.011, 0.779, 0.123], [0.380, 0.203, 0.033], [0.137, 0.162, 0.923], [0.061, 0.408, 0.386], [0.561, 0.592, 0.614], [0.933, 0.095, 0.851], [0.568, 0.590, 0.099], [0.637, 0.838, 0.077], [0.422, 0.896, 0.637], [0.806, 0.943, 0.359], [0.149, 0.703, 0.777], [0.682, 0.434, 0.616], [0.682, 0.440, 0.102], [0.321, 0.060, 0.140], [0.860, 0.490, 0.153], [0.690, 0.344, 0.971], [0.642, 0.982, 0.897], [0.360, 0.510, 0.847], [0.819, 0.867, 0.218], [0.821, 0.940, 0.860], [0.182, 0.560, 0.898], [0.306, 0.057, 0.641]],
  "spacegroup": "P2_1"
}

---

Respective formation energy from the elements values: -2.483 -2.566 -2.563 -2.535 eV/atom.